Version a
Below is CaLa2FeO6 after structural relaxation, with properties calculated at the PBE+U level.

a = 5.931 Å, b = 10.036 Å, c = 10.030 Å
α = 76.35°, β = 84.99°, γ = 71.90°
Fractional coordinates of all 40 atoms:
O 0.722 0.658 0.100
La 0.586 0.877 0.184
O 0.222 0.658 0.600
Ca 0.875 0.250 0.625
O 0.269 0.063 0.080
O 0.764 0.123 0.097
La 0.414 0.123 0.816
O 0.236 0.877 0.903
O 0.514 0.623 0.347
La 0.336 0.377 0.434
O 0.528 0.842 0.650
O 0.981 0.437 0.670
O 0.028 0.842 0.150
O 0.471 0.158 0.350
O 0.014 0.623 0.847
Fe 0.250 0.500 0.750
O 0.486 0.377 0.653
O 0.231 0.937 0.421
O 0.986 0.377 0.153
O 0.731 0.937 0.921
O 0.736 0.877 0.403
La 0.086 0.877 0.684
O 0.019 0.563 0.329
Fe 0.750 0.500 0.250
La 0.836 0.377 0.934
Fe 0.500 0.000 0.500
O 0.481 0.437 0.170
O 0.769 0.063 0.580
O 0.519 0.563 0.829
La 0.664 0.623 0.566
La 0.914 0.123 0.316
Ca 0.125 0.750 0.375
O 0.264 0.123 0.597
La 0.164 0.623 0.066
O 0.972 0.158 0.850
Ca 0.375 0.250 0.125
Ca 0.625 0.750 0.875
Fe 0.000 0.000 0.000
O 0.778 0.342 0.400
O 0.278 0.342 0.900

***

Version b
Below is CaLa2FeO6 after structural relaxation, with properties calculated at the PBE+U level.

a = 5.728 Å, b = 5.803 Å, c = 9.861 Å
α = 92.62°, β = 103.49°, γ = 118.19°
Fractional coordinates of all 20 atoms:
Ca 0.001 0.243 0.250
Ca 0.999 0.757 0.750
La 0.258 0.845 0.120
La 0.263 0.359 0.620
La 0.737 0.641 0.380
La 0.742 0.155 0.880
Fe 0.500 0.000 0.500
Fe 0.500 0.500 0.000
O 0.160 0.529 0.889
O 0.176 0.015 0.387
O 0.291 0.589 0.434
O 0.295 0.111 0.935
O 0.364 0.963 0.660
O 0.370 0.455 0.161
O 0.630 0.545 0.839
O 0.636 0.037 0.340
O 0.705 0.889 0.065
O 0.709 0.411 0.566
O 0.824 0.985 0.613
O 0.840 0.471 0.111

***

Least stable of them? version b.

***

Version a
Below is CaLaVFeO6 after structural relaxation, with properties calculated at the PBE+U level.

a = 5.463 Å, b = 5.466 Å, c = 12.523 Å
α = 102.34°, β = 102.36°, γ = 90.93°
Fractional coordinates of all 30 atoms:
Ca 0.000 0.000 0.000
Ca 0.332 0.335 0.667
Ca 0.666 0.671 0.334
La 0.155 0.183 0.330
La 0.491 0.516 0.997
La 0.824 0.851 0.664
V 0.243 0.761 0.499
V 0.411 0.929 0.832
V 0.577 0.095 0.166
Fe 0.076 0.594 0.165
Fe 0.744 0.262 0.499
Fe 0.911 0.428 0.832
O 0.005 0.543 0.999
O 0.068 0.471 0.511
O 0.107 0.739 0.823
O 0.147 0.648 0.334
O 0.222 0.232 0.836
O 0.268 0.282 0.159
O 0.339 0.878 0.667
O 0.400 0.805 0.179
O 0.425 0.051 0.488
O 0.480 0.982 0.998
O 0.551 0.573 0.501
O 0.596 0.623 0.825
O 0.672 0.210 0.331
O 0.716 0.118 0.844
O 0.758 0.386 0.157
O 0.814 0.314 0.664
O 0.883 0.905 0.169
O 0.937 0.949 0.492

***

Version b
Below is CaLaVFeO6 after structural relaxation, with properties calculated at the PBE+U level.

a = 5.526 Å, b = 5.594 Å, c = 9.466 Å
α = 90.00°, β = 125.53°, γ = 90.00°
Fractional coordinates of all 20 atoms:
Ca 0.000 0.210 0.000
Ca 0.000 0.790 0.500
La 0.474 0.281 0.499
La 0.474 0.719 0.999
V 0.735 0.249 0.248
V 0.735 0.751 0.748
Fe 0.236 0.250 0.750
Fe 0.236 0.750 0.250
O 0.058 0.033 0.291
O 0.058 0.967 0.791
O 0.409 0.461 0.206
O 0.409 0.539 0.706
O 0.477 0.031 0.707
O 0.477 0.969 0.207
O 0.579 0.265 0.010
O 0.579 0.735 0.510
O 0.902 0.231 0.490
O 0.902 0.769 0.990
O 0.993 0.466 0.795
O 0.993 0.534 0.295

***

Version c
Below is CaLaVFeO6 after structural relaxation, with properties calculated at the PBE+U level.

a = 5.525 Å, b = 5.525 Å, c = 5.525 Å
α = 60.00°, β = 60.00°, γ = 60.00°
Fractional coordinates of all 10 atoms:
Ca 0.000 0.000 0.000
La 0.500 0.500 0.500
V 0.250 0.250 0.250
Fe 0.750 0.750 0.750
O 0.003 0.003 0.497
O 0.003 0.497 0.003
O 0.003 0.497 0.497
O 0.497 0.003 0.003
O 0.497 0.003 0.497
O 0.497 0.497 0.003

***

Least stable of them? version c.

***

Version a
Below is NaCa3MgFeSi4O14 after structural relaxation, with properties calculated at the PBE+U level.

a = 11.422 Å, b = 10.129 Å, c = 5.919 Å
α = 90.00°, β = 90.00°, γ = 90.00°
Fractional coordinates of all 48 atoms:
Na 0.250 0.013 0.000
Na 0.750 0.987 0.000
Ca 0.099 0.310 0.646
Ca 0.250 0.696 0.918
Ca 0.401 0.310 0.646
Ca 0.599 0.690 0.646
Ca 0.750 0.304 0.918
Ca 0.901 0.690 0.646
Mg 0.000 0.500 0.134
Mg 0.500 0.500 0.134
Fe 0.000 0.000 0.313
Fe 0.500 0.000 0.313
Si 0.137 0.284 0.187
Si 0.250 0.546 0.457
Si 0.250 0.815 0.451
Si 0.363 0.284 0.187
Si 0.637 0.716 0.187
Si 0.750 0.185 0.451
Si 0.750 0.454 0.457
Si 0.863 0.716 0.187
O 0.034 0.332 0.990
O 0.057 0.177 0.329
O 0.139 0.450 0.303
O 0.149 0.674 0.465
O 0.154 0.902 0.281
O 0.250 0.246 0.994
O 0.250 0.253 0.391
O 0.250 0.480 0.711
O 0.250 0.868 0.715
O 0.346 0.902 0.281
O 0.351 0.674 0.465
O 0.361 0.450 0.303
O 0.443 0.177 0.329
O 0.466 0.332 0.990
O 0.534 0.668 0.990
O 0.557 0.823 0.329
O 0.639 0.550 0.303
O 0.649 0.326 0.465
O 0.654 0.098 0.281
O 0.750 0.132 0.715
O 0.750 0.520 0.711
O 0.750 0.747 0.391
O 0.750 0.754 0.994
O 0.846 0.098 0.281
O 0.851 0.326 0.465
O 0.861 0.550 0.303
O 0.943 0.823 0.329
O 0.966 0.668 0.990

***

Version b
Below is NaCa3MgFeSi4O14 after structural relaxation, with properties calculated at the PBE+U level.

a = 5.084 Å, b = 7.888 Å, c = 7.934 Å
α = 89.56°, β = 89.23°, γ = 89.30°
Fractional coordinates of all 24 atoms:
Na 0.000 0.000 0.000
Ca 0.010 0.343 0.319
Ca 0.988 0.841 0.499
Ca 0.993 0.527 0.847
Mg 0.497 0.678 0.167
Fe 0.500 0.178 0.667
Si 0.432 0.534 0.522
Si 0.436 0.811 0.801
Si 0.557 0.040 0.312
Si 0.559 0.322 0.030
O 0.242 0.048 0.333
O 0.244 0.340 0.032
O 0.279 0.588 0.349
O 0.284 0.358 0.585
O 0.291 0.753 0.975
O 0.298 0.993 0.740
O 0.307 0.675 0.661
O 0.672 0.173 0.164
O 0.695 0.271 0.846
O 0.695 0.858 0.271
O 0.716 0.105 0.484
O 0.721 0.491 0.088
O 0.748 0.527 0.517
O 0.754 0.803 0.789

***

Least stable of them? version a.

***

Version a
Below is Sr3CaMn2FeO10 after structural relaxation, with properties calculated at the PBE+U level.

a = 14.284 Å, b = 14.284 Å, c = 14.284 Å
α = 164.46°, β = 164.46°, γ = 22.05°
Fractional coordinates of all 17 atoms:
Sr 0.000 0.000 0.000
Sr 0.133 0.133 0.000
Sr 0.403 0.403 0.000
Ca 0.271 0.271 0.000
Mn 0.562 0.562 0.000
Mn 0.842 0.842 0.000
Fe 0.703 0.703 0.000
O 0.063 0.563 0.500
O 0.204 0.704 0.500
O 0.339 0.839 0.500
O 0.493 0.493 0.000
O 0.563 0.063 0.500
O 0.632 0.632 0.000
O 0.704 0.204 0.500
O 0.772 0.772 0.000
O 0.839 0.339 0.500
O 0.910 0.910 0.000

***

Version b
Below is Sr3CaMn2FeO10 after structural relaxation, with properties calculated at the PBE+U level.

a = 14.235 Å, b = 14.235 Å, c = 14.235 Å
α = 164.42°, β = 164.42°, γ = 22.10°
Fractional coordinates of all 17 atoms:
Sr 0.000 0.000 0.000
Sr 0.134 0.134 0.000
Sr 0.860 0.860 0.000
Ca 0.729 0.729 0.000
Mn 0.287 0.287 0.000
Mn 0.572 0.572 0.000
Fe 0.430 0.430 0.000
O 0.070 0.570 0.500
O 0.220 0.220 0.000
O 0.287 0.787 0.500
O 0.357 0.357 0.000
O 0.429 0.929 0.500
O 0.502 0.502 0.000
O 0.570 0.070 0.500
O 0.642 0.642 0.000
O 0.787 0.287 0.500
O 0.929 0.429 0.500

***

Least stable of them? version a.